{"formula": "CdCu2SnTe4", "functional": "PBE-GGA", "state": "relaxed", "ef_ev_per_atom": -0.4295, "space_group": "No. 121", "lattice_angstrom": [[-3.143, 3.143, 6.264], [3.143, -3.143, 6.264], [3.143, 3.143, -6.264]], "species": ["Te", "Te", "Te", "Te", "Cd", "Cu", "Cu", "Sn"], "fractional_positions": [[0.394, 0.890, 0.000], [0.890, 0.394, 0.000], [0.110, 0.110, 0.503], [0.606, 0.606, 0.497], [0.000, 0.000, 0.000], [0.250, 0.750, 0.500], [0.750, 0.250, 0.500], [0.500, 0.500, 0.000]]}